Record 1
Entry from the Materials Project: a relaxed CoSnRh2 crystal (GGA-PBE).

Unit cell a=4.602 b=4.602 c=4.602 alpha=127.31 beta=127.31 gamma=77.75
Positions (direct):
Co  0.000  0.000  0.000
Sn  0.500  0.500  0.000
Rh  0.250  0.750  0.500
Rh  0.750  0.250  0.500

The total magnetization is 2.20 μB/f.u. The formation energy is -0.212 eV per atom.



Record 2
Entry from the Materials Project: a relaxed CoRuS4 crystal (GGA-PBE).

Unit cell a=5.569 b=5.602 c=5.614 alpha=90.00 beta=90.52 gamma=90.00
Positions (direct):
Co  0.000  0.000  0.000
Co  0.000  0.500  0.500
Ru  0.500  0.000  0.500
Ru  0.500  0.500  0.000
S  0.108  0.114  0.612
S  0.108  0.386  0.112
S  0.383  0.611  0.611
S  0.383  0.889  0.111
S  0.617  0.111  0.889
S  0.617  0.389  0.389
S  0.892  0.614  0.888
S  0.892  0.886  0.388

The total magnetization is 1.00 μB/f.u. The formation energy is -0.771 eV per atom.